VASP calculation (PBE-GGA) on a geometry-optimized Na4CaSi2SnSO12 structure.

Summary:
Total energy after the MP2020 corrections in eV/atom: -6.5864
E_form in eV per atom: -2.507
Final energy in eV/atom: -6.194

a b c (Å): 9.462 9.361 22.780
angles (deg): 91.87 90.00 120.36
Sites, in units of the cell vectors:
1 O 0.506 0.875 0.359
2 O 0.126 0.451 0.970
3 O 0.888 0.353 0.645
4 O 0.699 0.144 0.030
5 O 0.032 0.811 0.697
6 O 0.464 0.353 0.145
7 O 0.153 0.487 0.582
8 O 0.343 0.874 0.578
9 O 0.191 0.003 0.913
10 O 0.035 0.208 0.192
11 O 0.886 0.528 0.143
12 O 0.644 0.486 0.919
13 O 0.858 0.337 0.246
14 O 0.112 0.477 0.863
15 O 0.702 0.541 0.525
16 O 0.813 0.003 0.413
17 O 0.487 0.154 0.248
18 O 0.659 0.118 0.137
19 O 0.676 0.541 0.244
20 O 0.864 0.541 0.744
21 O 0.975 0.194 0.310
22 O 0.864 0.360 0.919
23 O 0.820 0.821 0.915
24 O 0.992 0.785 0.803
25 O 0.793 0.785 0.303
26 O 0.849 0.292 0.526
27 O 0.667 0.154 0.748
28 O 0.162 0.693 0.752
29 O 0.978 0.152 0.586
30 O 0.495 0.360 0.419
31 O 0.131 0.686 0.478
32 O 0.459 0.118 0.637
33 O 0.840 0.541 0.025
34 O 0.623 0.149 0.423
35 O 0.443 0.292 0.026
36 O 0.222 0.019 0.311
37 O 0.366 0.477 0.363
38 O 0.859 0.815 0.590
39 O 0.798 0.019 0.811
40 O 0.368 0.875 0.859
41 O 0.531 0.693 0.252
42 O 0.776 0.959 0.693
43 O 0.552 0.861 0.477
44 O 0.334 0.487 0.082
45 O 0.198 0.207 0.411
46 O 0.192 0.482 0.257
47 O 0.290 0.482 0.757
48 O 0.841 0.486 0.419
49 O 0.197 0.026 0.586
50 O 0.508 0.819 0.752
51 O 0.555 0.686 0.978
52 O 0.219 0.194 0.810
53 O 0.445 0.144 0.530
54 O 0.182 0.959 0.193
55 O 0.829 0.026 0.086
56 O 0.309 0.861 0.977
57 O 0.325 0.451 0.470
58 O 0.009 0.207 0.911
59 O 0.175 0.152 0.086
60 O 0.524 0.670 0.580
61 O 0.778 0.811 0.197
62 O 0.146 0.670 0.080
63 O 0.956 0.815 0.090
64 O 0.479 0.337 0.746
65 O 0.173 0.208 0.692
66 O 0.642 0.528 0.643
67 O 0.516 0.625 0.860
68 O 0.109 0.625 0.360
69 O 0.001 0.821 0.415
70 O 0.526 0.149 0.923
71 O 0.531 0.874 0.078
72 O 0.311 0.819 0.252
73 Na 0.672 0.320 0.330
74 Na 0.697 0.018 0.910
75 Na 0.339 0.653 0.663
76 Na 0.314 0.653 0.163
77 Na 0.987 0.351 0.744
78 Na 0.309 0.354 0.589
79 Na 0.975 0.688 0.922
80 Na 0.329 0.292 0.908
81 Na 0.379 0.021 0.755
82 Na 0.321 0.018 0.410
83 Na 0.996 0.626 0.241
84 Na 0.963 0.292 0.408
85 Na 0.045 0.354 0.089
86 Na 0.297 0.959 0.075
87 Na 0.006 0.986 0.996
88 Na 0.654 0.685 0.077
89 Na 0.642 0.021 0.255
90 Na 0.364 0.351 0.244
91 Na 0.630 0.626 0.741
92 Na 0.981 0.986 0.496
93 Na 0.647 0.320 0.830
94 Na 0.712 0.688 0.422
95 Na 0.031 0.685 0.577
96 Na 0.663 0.959 0.575
97 Sn 0.315 0.675 0.317
98 Sn 0.027 0.009 0.151
99 Sn 0.360 0.675 0.817
100 Sn 0.981 0.009 0.651
101 Sn 0.694 0.342 0.484
102 Sn 0.648 0.342 0.984
103 S 0.030 0.374 0.916
104 S 0.697 0.708 0.250
105 S 0.678 0.041 0.083
106 S 0.364 0.041 0.583
107 S 0.344 0.374 0.416
108 S 0.011 0.708 0.750
109 Ca 0.332 0.668 0.516
110 Ca 0.669 0.334 0.683
111 Ca 0.666 0.334 0.183
112 Ca 0.999 0.001 0.850
113 Ca 0.002 0.001 0.350
114 Ca 0.335 0.668 0.016
115 Si 0.026 0.663 0.420
116 Si 0.360 0.329 0.087
117 Si 0.674 0.635 0.587
118 Si 0.007 0.302 0.253
119 Si 0.970 0.329 0.587
120 Si 0.294 0.302 0.753
121 Si 0.303 0.996 0.253
122 Si 0.693 0.996 0.753
123 Si 0.961 0.635 0.087
124 Si 0.628 0.968 0.420
125 Si 0.636 0.663 0.920
126 Si 0.341 0.968 0.920